The following is a DFT calculation (r²SCAN) of Al2S3 after structural relaxation.

a b c (Å): 6.488 6.488 7.024
angles (deg): 63.10 63.10 59.72
Element x y z (fractional)
Al1 0.181 0.988 0.496
Al2 0.810 0.674 0.510
Al3 0.988 0.181 0.996
Al4 0.674 0.810 0.010
S1 0.297 0.120 0.114
S2 0.957 0.800 0.126
S3 0.635 0.454 0.129
S4 0.120 0.297 0.614
S5 0.800 0.957 0.626
S6 0.454 0.635 0.629

Energy of formation = -1.24 eV/atom
Volume = 21.78 Å³ per atom